Density functional theory data (PBE) for ScC3N9F6 after structural relaxation.

Geometry as CIF:
```
data_ScC3N9F6
_symmetry_space_group_name_H-M 'P 1'
_symmetry_Int_Tables_number 1
_symmetry_space_group_name_Hall 'P 1'
_cell_length_a 13.176
_cell_length_b 13.176
_cell_length_c 13.176
_cell_angle_alpha 90.00
_cell_angle_beta 90.00
_cell_angle_gamma 90.00
loop_
_atom_site_label
_atom_site_type_symbol
_atom_site_fract_x
_atom_site_fract_y
_atom_site_fract_z
_atom_site_occupancy
Sc1 Sc 0.500 0.000 0.000 1
Sc2 Sc 0.500 0.500 0.500 1
Sc3 Sc 0.000 0.000 0.500 1
Sc4 Sc 0.000 0.500 0.000 1
Sc5 Sc 0.000 0.000 0.000 1
Sc6 Sc 0.000 0.500 0.500 1
Sc7 Sc 0.500 0.000 0.500 1
Sc8 Sc 0.500 0.500 0.000 1
C1 C 0.738 0.041 0.214 1
C2 C 0.262 0.541 0.286 1
C3 C 0.762 0.959 0.714 1
C4 C 0.238 0.459 0.786 1
C5 C 0.214 0.738 0.041 1
C6 C 0.286 0.262 0.541 1
C7 C 0.714 0.762 0.959 1
C8 C 0.786 0.238 0.459 1
C9 C 0.041 0.214 0.738 1
C10 C 0.541 0.286 0.262 1
C11 C 0.959 0.714 0.762 1
C12 C 0.459 0.786 0.238 1
C13 C 0.262 0.959 0.786 1
C14 C 0.738 0.459 0.714 1
C15 C 0.238 0.041 0.286 1
C16 C 0.762 0.541 0.214 1
C17 C 0.786 0.262 0.959 1
C18 C 0.714 0.738 0.459 1
C19 C 0.286 0.238 0.041 1
C20 C 0.214 0.762 0.541 1
C21 C 0.959 0.786 0.262 1
C22 C 0.459 0.714 0.738 1
C23 C 0.041 0.286 0.238 1
C24 C 0.541 0.214 0.762 1
N1 N 0.759 0.037 0.112 1
N2 N 0.241 0.537 0.388 1
N3 N 0.741 0.963 0.612 1
N4 N 0.259 0.463 0.888 1
N5 N 0.112 0.759 0.037 1
N6 N 0.388 0.241 0.537 1
N7 N 0.612 0.741 0.963 1
N8 N 0.888 0.259 0.463 1
N9 N 0.037 0.112 0.759 1
N10 N 0.537 0.388 0.241 1
N11 N 0.963 0.612 0.741 1
N12 N 0.463 0.888 0.259 1
N13 N 0.241 0.963 0.888 1
N14 N 0.759 0.463 0.612 1
N15 N 0.259 0.037 0.388 1
N16 N 0.741 0.537 0.112 1
N17 N 0.888 0.241 0.963 1
N18 N 0.612 0.759 0.463 1
N19 N 0.388 0.259 0.037 1
N20 N 0.112 0.741 0.537 1
N21 N 0.963 0.888 0.241 1
N22 N 0.463 0.612 0.759 1
N23 N 0.037 0.388 0.259 1
N24 N 0.537 0.112 0.741 1
N25 N 0.821 0.068 0.267 1
N26 N 0.179 0.568 0.233 1
N27 N 0.679 0.932 0.767 1
N28 N 0.321 0.432 0.733 1
N29 N 0.267 0.821 0.068 1
N30 N 0.233 0.179 0.568 1
N31 N 0.767 0.679 0.932 1
N32 N 0.733 0.321 0.432 1
N33 N 0.068 0.267 0.821 1
N34 N 0.568 0.233 0.179 1
N35 N 0.932 0.767 0.679 1
N36 N 0.432 0.733 0.321 1
N37 N 0.179 0.932 0.733 1
N38 N 0.821 0.432 0.767 1
N39 N 0.321 0.068 0.233 1
N40 N 0.679 0.568 0.267 1
N41 N 0.733 0.179 0.932 1
N42 N 0.767 0.821 0.432 1
N43 N 0.233 0.321 0.068 1
N44 N 0.267 0.679 0.568 1
N45 N 0.932 0.733 0.179 1
N46 N 0.432 0.767 0.821 1
N47 N 0.068 0.233 0.321 1
N48 N 0.568 0.267 0.679 1
N49 N 0.645 0.022 0.252 1
N50 N 0.355 0.522 0.248 1
N51 N 0.855 0.978 0.752 1
N52 N 0.145 0.478 0.748 1
N53 N 0.252 0.645 0.022 1
N54 N 0.248 0.355 0.522 1
N55 N 0.752 0.855 0.978 1
N56 N 0.748 0.145 0.478 1
N57 N 0.022 0.252 0.645 1
N58 N 0.522 0.248 0.355 1
N59 N 0.978 0.752 0.855 1
N60 N 0.478 0.748 0.145 1
N61 N 0.355 0.978 0.748 1
N62 N 0.645 0.478 0.752 1
N63 N 0.145 0.022 0.248 1
N64 N 0.855 0.522 0.252 1
N65 N 0.748 0.355 0.978 1
N66 N 0.752 0.645 0.478 1
N67 N 0.248 0.145 0.022 1
N68 N 0.252 0.855 0.522 1
N69 N 0.978 0.748 0.355 1
N70 N 0.478 0.752 0.645 1
N71 N 0.022 0.248 0.145 1
N72 N 0.522 0.252 0.855 1
F1 F 0.876 0.059 0.924 1
F2 F 0.124 0.559 0.576 1
F3 F 0.624 0.941 0.424 1
F4 F 0.376 0.441 0.076 1
F5 F 0.924 0.876 0.059 1
F6 F 0.576 0.124 0.559 1
F7 F 0.424 0.624 0.941 1
F8 F 0.076 0.376 0.441 1
F9 F 0.059 0.924 0.876 1
F10 F 0.559 0.576 0.124 1
F11 F 0.941 0.424 0.624 1
F12 F 0.441 0.076 0.376 1
F13 F 0.124 0.941 0.076 1
F14 F 0.876 0.441 0.424 1
F15 F 0.376 0.059 0.576 1
F16 F 0.624 0.559 0.924 1
F17 F 0.076 0.124 0.941 1
F18 F 0.424 0.876 0.441 1
F19 F 0.576 0.376 0.059 1
F20 F 0.924 0.624 0.559 1
F21 F 0.941 0.076 0.124 1
F22 F 0.441 0.424 0.876 1
F23 F 0.059 0.576 0.376 1
F24 F 0.559 0.924 0.624 1
F25 F 0.470 0.941 0.141 1
F26 F 0.530 0.441 0.359 1
F27 F 0.030 0.059 0.641 1
F28 F 0.970 0.559 0.859 1
F29 F 0.141 0.470 0.941 1
F30 F 0.359 0.530 0.441 1
F31 F 0.641 0.030 0.059 1
F32 F 0.859 0.970 0.559 1
F33 F 0.941 0.141 0.470 1
F34 F 0.441 0.359 0.530 1
F35 F 0.059 0.641 0.030 1
F36 F 0.559 0.859 0.970 1
F37 F 0.530 0.059 0.859 1
F38 F 0.470 0.559 0.641 1
F39 F 0.970 0.941 0.359 1
F40 F 0.030 0.441 0.141 1
F41 F 0.859 0.530 0.059 1
F42 F 0.641 0.470 0.559 1
F43 F 0.359 0.970 0.941 1
F44 F 0.141 0.030 0.441 1
F45 F 0.059 0.859 0.530 1
F46 F 0.559 0.641 0.470 1
F47 F 0.941 0.359 0.970 1
F48 F 0.441 0.141 0.030 1
```

As for the symmetry: Pa-3, No. 205. The electronic total energy is -853.7 eV/cell. Its crystal system is cubic. The total magnetization comes out at 0.85 Bohr magnetons per cell. The energy with MP2020 corrections comes out at -5.762 eV per atom.



Density functional theory data (PBE) for CsGeB3O7 after structural relaxation.

Geometry as CIF:
```
data_CsGeB3O7
_symmetry_space_group_name_H-M 'P 1'
_symmetry_Int_Tables_number 1
_symmetry_space_group_name_Hall 'P 1'
_cell_length_a 7.104
_cell_length_b 9.685
_cell_length_c 10.063
_cell_angle_alpha 90.00
_cell_angle_beta 90.00
_cell_angle_gamma 90.00
loop_
_atom_site_label
_atom_site_type_symbol
_atom_site_fract_x
_atom_site_fract_y
_atom_site_fract_z
_atom_site_occupancy
Cs1 Cs 0.006 0.999 0.673 1
Cs2 Cs 0.506 0.501 0.173 1
Cs3 Cs 0.006 0.499 0.827 1
Cs4 Cs 0.506 0.001 0.327 1
Ge1 Ge 0.493 0.772 0.890 1
Ge2 Ge 0.993 0.228 0.110 1
Ge3 Ge 0.493 0.272 0.610 1
Ge4 Ge 0.993 0.728 0.390 1
B1 B 0.866 0.826 0.011 1
B2 B 0.196 0.345 0.436 1
B3 B 0.962 0.458 0.284 1
B4 B 0.962 0.958 0.216 1
B5 B 0.366 0.174 0.989 1
B6 B 0.866 0.326 0.489 1
B7 B 0.462 0.042 0.784 1
B8 B 0.366 0.674 0.511 1
B9 B 0.196 0.845 0.064 1
B10 B 0.696 0.655 0.564 1
B11 B 0.696 0.155 0.936 1
B12 B 0.462 0.542 0.716 1
O1 O 0.940 0.608 0.266 1
O2 O 0.424 0.103 0.652 1
O3 O 0.320 0.595 0.617 1
O4 O 0.555 0.202 0.021 1
O5 O 0.424 0.603 0.848 1
O6 O 0.055 0.298 0.521 1
O7 O 0.155 0.423 0.328 1
O8 O 0.055 0.798 0.979 1
O9 O 0.239 0.237 0.074 1
O10 O 0.883 0.190 0.955 1
O11 O 0.383 0.810 0.045 1
O12 O 0.320 0.095 0.883 1
O13 O 0.440 0.392 0.734 1
O14 O 0.739 0.763 0.926 1
O15 O 0.883 0.690 0.545 1
O16 O 0.655 0.577 0.672 1
O17 O 0.924 0.397 0.152 1
O18 O 0.655 0.077 0.828 1
O19 O 0.820 0.405 0.383 1
O20 O 0.383 0.310 0.455 1
O21 O 0.820 0.905 0.117 1
O22 O 0.940 0.108 0.234 1
O23 O 0.924 0.897 0.348 1
O24 O 0.239 0.737 0.426 1
O25 O 0.155 0.923 0.172 1
O26 O 0.440 0.892 0.766 1
O27 O 0.555 0.702 0.479 1
O28 O 0.739 0.263 0.574 1
```

As for the symmetry: Pna2_1, No. 33. The electronic total energy is -348.6 eV/cell. Its crystal system is orthorhombic. The total magnetization comes out at 0.00 Bohr magnetons per cell. The energy with MP2020 corrections comes out at -7.663 eV per atom.



Density functional theory data (PBE) for As3Pb5BrO12 after structural relaxation.

Geometry as CIF:
```
data_As3Pb5BrO12
_symmetry_space_group_name_H-M 'P 1'
_symmetry_Int_Tables_number 1
_symmetry_space_group_name_Hall 'P 1'
_cell_length_a 10.577
_cell_length_b 10.577
_cell_length_c 7.485
_cell_angle_alpha 90.00
_cell_angle_beta 90.00
_cell_angle_gamma 120.00
loop_
_atom_site_label
_atom_site_type_symbol
_atom_site_fract_x
_atom_site_fract_y
_atom_site_fract_z
_atom_site_occupancy
As1 As 0.030 0.409 0.250 1
As2 As 0.970 0.591 0.750 1
As3 As 0.591 0.621 0.250 1
As4 As 0.409 0.379 0.750 1
As5 As 0.379 0.970 0.250 1
As6 As 0.621 0.030 0.750 1
Pb1 Pb 0.245 0.263 0.250 1
Pb2 Pb 0.755 0.737 0.750 1
Pb3 Pb 0.737 0.982 0.250 1
Pb4 Pb 0.263 0.018 0.750 1
Pb5 Pb 0.018 0.755 0.250 1
Pb6 Pb 0.982 0.245 0.750 1
Pb7 Pb 0.333 0.667 0.995 1
Pb8 Pb 0.667 0.333 0.005 1
Pb9 Pb 0.667 0.333 0.495 1
Pb10 Pb 0.333 0.667 0.505 1
Br1 Br 0.000 0.000 0.000 1
Br2 Br 0.000 0.000 0.500 1
O1 O 0.495 0.156 0.250 1
O2 O 0.505 0.844 0.750 1
O3 O 0.844 0.340 0.250 1
O4 O 0.156 0.660 0.750 1
O5 O 0.660 0.505 0.250 1
O6 O 0.340 0.495 0.750 1
O7 O 0.125 0.600 0.250 1
O8 O 0.875 0.400 0.750 1
O9 O 0.400 0.526 0.250 1
O10 O 0.600 0.474 0.750 1
O11 O 0.474 0.875 0.250 1
O12 O 0.526 0.125 0.750 1
O13 O 0.094 0.358 0.067 1
O14 O 0.906 0.642 0.933 1
O15 O 0.642 0.736 0.067 1
O16 O 0.906 0.642 0.567 1
O17 O 0.358 0.264 0.933 1
O18 O 0.094 0.358 0.433 1
O19 O 0.264 0.906 0.067 1
O20 O 0.358 0.264 0.567 1
O21 O 0.736 0.094 0.933 1
O22 O 0.642 0.736 0.433 1
O23 O 0.736 0.094 0.567 1
O24 O 0.264 0.906 0.433 1
```

As for the symmetry: P6_3/m, No. 176. The electronic total energy is -242.1 eV/cell. Its crystal system is hexagonal. The total magnetization comes out at 0.00 Bohr magnetons per cell. The energy with MP2020 corrections comes out at -6.158 eV per atom.



Density functional theory data (PBE) for Er8In3Co after structural relaxation.

Geometry as CIF:
```
data_Er8In3Co
_symmetry_space_group_name_H-M 'P 1'
_symmetry_Int_Tables_number 1
_symmetry_space_group_name_Hall 'P 1'
_cell_length_a 10.298
_cell_length_b 10.298
_cell_length_c 6.911
_cell_angle_alpha 90.00
_cell_angle_beta 90.00
_cell_angle_gamma 120.00
loop_
_atom_site_label
_atom_site_type_symbol
_atom_site_fract_x
_atom_site_fract_y
_atom_site_fract_z
_atom_site_occupancy
Er1 Er 0.534 0.068 0.791 1
Er2 Er 0.932 0.466 0.791 1
Er3 Er 0.534 0.466 0.791 1
Er4 Er 0.466 0.932 0.291 1
Er5 Er 0.068 0.534 0.291 1
Er6 Er 0.466 0.534 0.291 1
Er7 Er 0.822 0.643 0.501 1
Er8 Er 0.357 0.178 0.501 1
Er9 Er 0.822 0.178 0.501 1
Er10 Er 0.178 0.357 0.001 1
Er11 Er 0.643 0.822 0.001 1
Er12 Er 0.178 0.822 0.001 1
Er13 Er 0.667 0.333 0.182 1
Er14 Er 0.333 0.667 0.682 1
Er15 Er 0.000 0.000 0.779 1
Er16 Er 0.000 0.000 0.279 1
In1 In 0.837 0.673 0.037 1
In2 In 0.327 0.163 0.037 1
In3 In 0.837 0.163 0.037 1
In4 In 0.163 0.327 0.537 1
In5 In 0.673 0.837 0.537 1
In6 In 0.163 0.837 0.537 1
Co1 Co 0.667 0.333 0.570 1
Co2 Co 0.333 0.667 0.070 1
```

As for the symmetry: P6_3mc, No. 186. The electronic total energy is -112.2 eV/cell. Its crystal system is hexagonal. The total magnetization comes out at 0.00 Bohr magnetons per cell.



Q: The lowest electronic total energy belongs to which entry?
A: ScC3N9F6



Q: Which of these has the lowest electronic total energy?
A: ScC3N9F6